No. 1
Material: H12WN3O3F5
Method: DFT, PBE with a Hubbard U
State: relaxed

The structure in extended XYZ format:
```
192
Lattice="-3.550 7.053 -0.008 -10.350 -5.226 -13.645 -12.559 -6.307 11.942" Properties=species:S:1:pos:R:3 pbc="T T T"
H -10.634 -3.120 3.704
H -12.413 -1.809 -10.385
H -4.039 3.421 0.931
H -22.247 -3.411 -2.221
H -5.000 -0.644 2.995
H -16.211 -2.754 0.728
H -13.426 0.098 4.730
H -10.295 -0.794 -0.631
H -19.046 -6.221 -3.573
H -19.581 -6.470 -2.004
H -16.313 -7.224 2.518
H -14.439 -6.294 -9.260
H -17.964 -6.247 -0.326
H -13.033 -4.577 -6.441
H -16.106 -1.086 0.482
H -18.910 -7.527 0.061
H -20.890 -2.715 -5.790
H -8.034 -1.614 0.381
H -20.984 -8.015 -3.467
H -7.549 3.048 -1.772
H -13.460 -5.736 4.821
H -14.140 0.088 -8.209
H -12.123 -2.655 9.338
H -12.940 -5.458 3.252
H -6.878 1.990 0.293
H -16.010 -1.767 2.116
H -13.648 -0.818 6.070
H -10.353 -3.393 -2.193
H -17.286 -4.148 -7.475
H -12.548 0.084 -8.594
H -10.449 -2.713 -3.828
H -7.413 1.741 1.861
H -13.984 -3.255 -6.694
H -19.555 -5.277 3.784
H -10.318 -1.831 -6.316
H -12.020 1.815 7.548
H -9.159 1.624 -5.021
H -14.336 -1.825 -11.050
H -16.299 -7.165 4.182
H -16.141 -2.648 4.604
H -7.165 -1.983 -0.958
H -4.212 -1.069 0.509
H -5.672 -1.822 0.838
H -12.475 -1.224 4.982
H -5.475 3.535 1.755
H -21.825 -4.372 0.924
H -22.420 -7.901 -2.643
H -12.319 -4.568 6.497
H -10.248 -1.725 -2.440
H -14.666 -1.924 4.276
H -16.664 -1.730 7.746
H -17.471 -8.760 1.855
H -19.448 -5.997 0.351
H -4.634 -0.108 -2.635
H -10.664 1.282 1.406
H -13.003 -5.907 7.176
H -16.164 -3.686 -1.080
H -12.999 1.257 -6.532
H -14.046 -2.671 8.673
H -12.811 -3.662 -7.782
H -9.795 -2.749 -9.458
H -10.924 1.466 -5.068
H -6.904 0.797 -5.495
H -15.795 -5.761 -3.118
H -7.011 1.518 -2.062
H -8.495 1.767 -1.385
H -12.738 2.404 5.738
H -11.690 -2.500 -2.747
H -20.787 -2.658 -2.549
H -15.535 -5.946 3.356
H -18.425 -2.866 -2.092
H -17.300 -6.104 3.310
H -9.173 -0.331 5.763
H -15.825 -1.360 -5.416
H -13.456 1.428 -8.888
H -13.911 -4.564 6.883
H -10.146 2.744 -4.229
H -14.647 -0.367 -11.844
H -12.686 -6.245 -1.055
H -13.519 0.979 -4.963
H -15.842 -5.384 -9.016
H -11.812 -4.113 10.133
H -7.539 -3.165 0.132
H -10.160 2.686 -5.893
H -10.617 0.905 7.305
H -19.294 -2.497 -0.753
H -8.988 4.280 -3.567
H -11.793 -2.555 -5.987
H -5.569 -1.765 4.078
H -16.041 0.637 10.602
H -14.769 -1.979 1.035
H -13.773 1.766 -0.656
H -21.459 -3.836 -4.707
H -18.920 -1.314 -1.843
H -13.721 -6.883 -7.450
H -10.418 -5.117 -12.314
N -10.082 2.097 -5.045
N -12.786 1.456 -5.504
N -15.495 -2.433 3.833
N -15.797 -1.868 1.090
N -4.770 -1.458 1.280
N -19.201 -2.296 -1.752
N -4.466 3.836 1.778
N -10.662 -2.612 -2.802
N -21.689 -3.022 -2.992
N -7.258 -2.184 0.041
N -21.412 -3.606 -5.734
N -13.298 0.668 -8.218
N -19.867 -6.524 -3.033
N -13.028 -3.614 -6.783
N -6.592 2.045 1.321
N -21.993 -8.316 -3.490
N -18.931 -6.578 -0.317
N -16.377 -6.577 3.334
N -5.047 -0.873 4.022
N -10.964 -2.046 -5.545
N -13.673 -5.936 3.792
N -13.161 -5.147 6.507
N -7.528 2.099 -1.394
N -13.431 -0.865 5.072
O -17.514 -2.863 7.025
O -12.951 -5.671 10.159
O -16.530 -5.429 -4.487
O -9.929 0.949 2.775
O -15.655 -0.568 -4.048
O -14.680 -3.831 9.341
O -10.804 -3.911 2.337
O -9.951 0.253 5.615
O -19.230 -6.090 3.334
O -15.757 -2.640 -2.047
O -3.219 -0.099 -1.913
O -16.508 -4.733 -7.327
O -11.655 2.106 4.773
O -18.782 -8.577 2.521
O -10.229 -4.313 -0.501
O -7.229 1.611 -5.045
O -10.702 -1.840 0.336
O -16.230 -0.166 -1.210
O -8.945 -1.616 -8.737
O -13.508 1.191 -11.870
O -11.779 -0.649 -11.052
O -14.804 -6.585 -6.484
O -7.677 4.097 -4.232
O -23.240 -4.381 0.201
F -13.366 -1.900 -2.973
F -10.679 -2.623 4.538
F -16.687 0.163 -8.270
F -3.480 2.257 -0.315
F -18.324 -6.470 -6.772
F -15.423 -6.092 -2.284
F -13.093 -2.580 1.261
F -9.647 -4.200 -5.328
F -7.211 -3.226 -7.134
F -19.248 -1.254 5.422
F -13.084 -2.445 -10.004
F -16.824 -8.063 -5.558
F -9.772 -4.643 6.559
F -13.375 -2.034 8.292
F -1.558 0.875 0.498
F -20.110 -1.548 1.466
F -11.036 1.612 0.572
F -19.283 -3.621 4.614
F -18.894 -8.852 -3.270
F -6.349 -2.932 -3.178
F -22.979 -6.736 -1.397
F -16.164 -0.959 8.062
F -11.496 -0.711 -5.261
F -8.135 1.990 5.061
F -16.507 -4.157 -0.268
F -5.715 0.883 1.492
F -7.565 4.372 1.558
F -10.295 -3.520 -9.773
F -24.901 -5.355 -2.210
F -12.706 -4.736 0.051
F -20.744 -5.363 -3.203
F -20.908 -4.429 1.240
F -15.780 -1.857 -6.249
F -9.635 3.583 3.847
F -5.551 -0.051 -2.952
F -14.963 -3.769 3.550
F -13.753 0.256 -1.763
F -7.176 -0.858 -6.325
F -16.812 -0.280 3.616
F -9.952 -0.323 -1.444
W -7.280 -1.570 -8.175
W -24.269 -5.692 -0.359
W -2.190 1.212 -1.353
W -19.179 -2.909 6.464
W -11.398 -3.420 0.757
W -9.971 1.722 4.353
W -16.488 -6.202 -6.065
W -15.061 -1.060 -2.469
```

Properties
Formation enthalpy at 0 K, meV per atom: -1155
SG: Pbca
Volume, Å³ per atom: 13.6

***

No. 2
Material: H12WN3O3F3
Method: DFT, PBE with a Hubbard U
State: relaxed

The structure in extended XYZ format:
```
22
Lattice="-1.667 -5.860 -2.168 2.988 1.790 -5.809 4.145 -0.222 5.475" Properties=species:S:1:pos:R:3 pbc="T T T"
H 0.112 -3.285 -2.583
H 1.214 -4.362 -1.440
H 3.903 0.758 -3.284
H 0.125 -3.936 -4.021
H 2.891 -4.217 -1.167
H 1.825 -2.991 -0.664
H 4.141 -0.875 -2.869
H 4.776 -0.975 2.382
H 4.653 -1.726 0.349
H 4.849 0.376 -1.939
H 1.770 -4.391 0.195
H 3.203 0.185 -1.854
N 1.913 -4.003 -0.753
N 0.124 -4.206 -3.028
N 4.018 0.105 -2.485
O 4.248 -0.792 3.510
O 4.520 -2.312 -3.681
O 4.097 -4.521 -2.091
F 1.139 -0.006 1.010
F 4.213 -2.113 -0.458
F 1.166 -0.959 -4.013
W 2.427 -5.532 2.760
```

Properties
Formation enthalpy at 0 K, meV per atom: -1063
SG: P1
Volume, Å³ per atom: 10.9

***

No. 3
Material: NiSn2H12O6F6
Method: DFT, PBE with a Hubbard U
State: relaxed

The structure in extended XYZ format:
```
108
Lattice="6.554 0.040 2.061 -1.005 -6.685 12.577 -2.036 -13.552 -3.110" Properties=species:S:1:pos:R:3 pbc="T T T"
F 2.472 -8.742 13.092
F 1.042 -11.454 -1.564
F 0.906 -6.323 2.011
F 1.048 -11.409 5.502
F 2.606 -13.874 9.517
F 5.931 -2.806 6.360
F 4.919 -9.539 11.874
F 2.060 -4.678 -0.009
F -2.416 -17.387 5.166
F 3.900 -16.314 10.320
F 0.914 -6.277 9.078
F 3.623 -7.096 11.072
F 3.619 -7.144 4.006
F 1.447 -15.565 4.471
F 2.067 -4.632 7.057
F 1.453 -15.519 11.536
F 2.465 -8.789 6.025
F -1.406 -10.658 -0.346
F -0.113 -13.100 0.455
F -0.104 -13.054 7.523
F -1.398 -10.613 6.717
F 2.600 -13.919 2.450
F 4.912 -9.586 4.807
F -0.387 -3.881 1.208
O 3.561 -12.381 7.547
O 5.222 -1.512 2.441
O -0.687 -11.909 10.643
O 0.318 -5.177 5.137
O 3.554 -12.426 0.481
O 0.258 -7.628 6.889
O 4.205 -8.288 0.882
O 4.209 -8.241 7.953
O 1.273 -0.900 1.376
O -1.066 -14.593 2.425
O 2.239 -19.303 10.154
O -0.041 -7.770 11.047
O 4.573 -5.650 2.035
O -0.048 -7.817 3.981
O -1.056 -14.548 9.492
O 4.576 -5.603 9.102
O 4.272 -5.792 6.194
O 3.262 -12.523 11.705
O -0.697 -11.956 3.575
O -0.757 -14.404 5.330
O 3.250 -12.570 4.642
O 3.192 -15.019 6.394
O -1.709 -18.685 9.090
O 0.253 -7.675 -0.178
H 3.577 -8.464 7.221
H 5.658 -2.364 2.706
H 2.420 -12.172 12.094
H 4.226 -6.262 2.739
H 4.640 -9.139 1.150
H 1.096 -8.025 -0.567
H 4.646 -9.092 8.218
H -1.133 -11.104 3.310
H 5.164 -4.954 9.567
H 2.559 -15.241 5.663
H -1.076 -18.463 9.821
H 0.510 -7.108 7.696
H -1.653 -15.242 1.959
H 3.000 -13.090 3.833
H 1.100 -7.979 6.500
H 0.505 -7.154 0.629
H 3.010 -13.043 10.898
H 3.628 -15.870 6.662
H 0.954 -4.955 5.866
H 4.148 -11.731 8.013
H 3.571 -8.511 0.152
H 0.299 -7.205 3.277
H 4.025 -6.267 12.454
H 3.429 -5.442 6.584
H -0.710 -13.936 8.787
H 5.159 -5.000 2.502
H 3.208 -13.038 1.185
H 4.231 -6.216 9.806
H -1.644 -15.197 9.027
H -1.125 -11.058 10.377
H -0.065 -11.734 4.308
H -0.507 -13.885 6.139
H 1.396 -18.949 10.541
H 4.142 -11.777 0.947
H -2.145 -17.834 8.822
H 2.117 -1.249 0.987
H -0.513 -13.931 -0.927
H -0.056 -11.686 11.376
H 0.305 -7.158 10.343
H 3.215 -12.993 8.251
H -0.720 -13.981 1.721
H -0.629 -8.420 10.581
H -0.115 -4.326 4.867
H 0.086 -14.755 4.942
H 4.589 -1.733 1.708
H 4.019 -6.313 5.386
H 2.407 -12.218 5.029
H -0.635 -8.467 3.515
Ni 4.523 -13.467 6.016
Ni -2.021 -13.460 11.021
Ni 5.542 -6.690 7.571
Ni 0.000 0.000 0.001
Sn 2.994 -9.160 4.008
Sn -0.498 -17.814 5.966
Sn 4.010 -2.382 5.563
Sn 0.512 -11.086 0.455
Sn 1.531 -4.307 2.009
Sn 1.983 -15.889 9.518
Sn 3.001 -9.111 11.074
Sn 0.519 -11.039 7.519
```

Properties
Formation enthalpy at 0 K, meV per atom: -1690
Volume, Å³ per atom: 11.6

***

No. 4
Material: Ni3SnH12O6F6
Method: DFT, PBE with a Hubbard U
State: relaxed

The structure in extended XYZ format:
```
28
Lattice="-4.193 9.217 1.603 7.313 -1.543 -1.890 -2.648 0.246 -11.114" Properties=species:S:1:pos:R:3 pbc="T T T"
O -3.669 7.428 -8.893
O 5.434 -0.314 -6.077
O 0.781 4.228 -9.317
O 4.142 0.492 -2.508
O -4.962 8.234 -5.324
O -0.309 3.692 -2.084
H -0.151 3.497 -3.025
H -5.253 8.448 -6.327
H 4.496 -0.062 -6.065
H -4.362 7.928 -8.345
H -4.204 6.717 -9.300
H -0.366 2.802 -1.677
H 5.725 -0.527 -5.074
H 0.838 5.118 -9.724
H 4.834 -0.008 -3.056
H 0.623 4.424 -8.376
H 4.676 1.203 -2.101
H -4.024 7.983 -5.336
F -5.528 8.637 -7.616
F 2.845 -0.503 -11.681
F -2.372 8.423 0.280
F 2.258 5.602 -0.219
F -1.785 2.318 -11.182
F 6.001 -0.717 -3.785
Sn 0.000 0.000 0.000
Ni -1.324 0.123 -5.557
Ni 3.656 -0.771 -0.945
Ni 1.560 3.837 -0.144
```

Properties
Formation enthalpy at 0 K, meV per atom: -1320
SG: P-1
Volume, Å³ per atom: 25.6

***

The lowest volume belongs to which entry?
H12WN3O3F3

***

What is the formation enthalpy at 0 K in the second record?
-1063 meV per atom

***

Which of these has the lowest formation enthalpy at 0 K?
NiSn2H12O6F6